Compound: Co20As12O57
Source: the Materials Project database
Functional: PBE with a Hubbard U
Structure: relaxed

The structure in POSCAR format:
```
Co20As12O57
1.0
8.079 -11.105 0.000
8.079 11.105 0.000
-6.936 0.000 11.998
Co As O
40 24 114
direct
0.034 0.966 0.000 Co
0.049 0.470 0.502 Co
0.103 0.531 0.347 Co
0.109 0.966 0.426 Co
0.133 0.712 0.668 Co
0.137 0.282 0.586 Co
0.202 0.780 0.521 Co
0.208 0.278 0.016 Co
0.256 0.756 0.141 Co
0.278 0.208 0.516 Co
0.282 0.137 0.086 Co
0.297 0.439 0.256 Co
0.300 0.371 0.838 Co
0.371 0.300 0.338 Co
0.381 0.803 0.833 Co
0.439 0.297 0.756 Co
0.445 0.945 0.328 Co
0.446 0.868 0.682 Co
0.467 0.617 0.921 Co
0.470 0.049 0.002 Co
0.531 0.103 0.847 Co
0.540 0.606 0.349 Co
0.606 0.540 0.849 Co
0.617 0.467 0.421 Co
0.631 0.774 0.589 Co
0.636 0.704 0.168 Co
0.704 0.636 0.668 Co
0.712 0.133 0.168 Co
0.756 0.256 0.641 Co
0.774 0.631 0.089 Co
0.780 0.202 0.021 Co
0.800 0.955 0.256 Co
0.803 0.381 0.333 Co
0.868 0.446 0.182 Co
0.874 0.939 0.685 Co
0.939 0.874 0.185 Co
0.945 0.445 0.828 Co
0.955 0.800 0.756 Co
0.966 0.034 0.500 Co
0.966 0.109 0.926 Co
0.007 0.213 0.744 As
0.025 0.377 0.058 As
0.052 0.697 0.230 As
0.113 0.279 0.331 As
0.178 0.528 0.762 As
0.202 0.849 0.940 As
0.213 0.007 0.244 As
0.279 0.113 0.831 As
0.345 0.554 0.083 As
0.357 0.711 0.389 As
0.377 0.025 0.558 As
0.447 0.615 0.665 As
0.507 0.860 0.099 As
0.528 0.178 0.262 As
0.554 0.345 0.583 As
0.615 0.447 0.165 As
0.676 0.876 0.411 As
0.697 0.052 0.730 As
0.711 0.357 0.889 As
0.779 0.947 0.999 As
0.849 0.202 0.440 As
0.860 0.507 0.599 As
0.876 0.676 0.911 As
0.947 0.779 0.499 As
0.002 0.170 0.223 O
0.009 0.436 0.968 O
0.015 0.453 0.176 O
0.051 0.829 0.280 O
0.055 0.222 0.878 O
0.065 0.754 0.546 O
0.073 0.950 0.150 O
0.082 0.506 0.816 O
0.094 0.400 0.381 O
0.101 0.136 0.026 O
0.104 0.789 0.801 O
0.108 0.679 0.136 O
0.123 0.684 0.350 O
0.126 0.433 0.623 O
0.127 0.288 0.734 O
0.136 0.101 0.526 O
0.148 0.603 0.515 O
0.159 0.383 0.109 O
0.163 0.255 0.448 O
0.170 0.002 0.723 O
0.184 0.752 0.995 O
0.185 0.966 0.008 O
0.222 0.055 0.378 O
0.227 0.662 0.767 O
0.232 0.325 0.306 O
0.235 0.929 0.507 O
0.250 0.610 0.064 O
0.255 0.163 0.948 O
0.257 0.571 0.334 O
0.276 0.913 0.230 O
0.283 0.823 0.669 O
0.286 0.413 0.986 O
0.288 0.127 0.234 O
0.295 0.516 0.835 O
0.305 0.310 0.651 O
0.310 0.305 0.151 O
0.325 0.232 0.806 O
0.334 0.901 0.937 O
0.339 0.506 0.556 O
0.343 0.775 0.297 O
0.349 0.788 0.507 O
0.383 0.159 0.609 O
0.392 0.554 0.215 O
0.400 0.094 0.881 O
0.413 0.286 0.486 O
0.414 0.845 0.163 O
0.429 0.738 0.715 O
0.433 0.126 0.123 O
0.435 0.469 0.360 O
0.436 0.009 0.468 O
0.450 0.765 0.961 O
0.453 0.015 0.676 O
0.465 0.622 0.069 O
0.469 0.435 0.860 O
0.490 0.716 0.438 O
0.491 0.951 0.838 O
0.495 0.592 0.783 O
0.506 0.082 0.316 O
0.506 0.339 0.056 O
0.516 0.295 0.335 O
0.554 0.392 0.715 O
0.555 0.995 0.106 O
0.568 0.666 0.643 O
0.571 0.257 0.834 O
0.581 0.931 0.395 O
0.592 0.495 0.283 O
0.598 0.910 0.672 O
0.603 0.148 0.015 O
0.610 0.250 0.564 O
0.622 0.465 0.569 O
0.623 0.735 0.317 O
0.627 0.851 0.173 O
0.639 0.643 0.987 O
0.643 0.639 0.487 O
0.662 0.227 0.267 O
0.666 0.568 0.143 O
0.668 0.837 0.893 O
0.679 0.108 0.636 O
0.684 0.123 0.850 O
0.716 0.490 0.938 O
0.726 0.882 0.545 O
0.735 0.623 0.817 O
0.738 0.429 0.215 O
0.752 0.184 0.495 O
0.754 0.065 0.046 O
0.765 0.450 0.461 O
0.771 0.803 0.694 O
0.775 0.343 0.797 O
0.788 0.349 0.007 O
0.789 0.104 0.301 O
0.795 0.951 0.400 O
0.803 0.771 0.194 O
0.823 0.283 0.169 O
0.828 0.926 0.119 O
0.829 0.051 0.780 O
0.837 0.668 0.393 O
0.845 0.414 0.663 O
0.851 0.627 0.673 O
0.882 0.726 0.045 O
0.896 0.992 0.973 O
0.901 0.334 0.437 O
0.910 0.598 0.172 O
0.913 0.276 0.730 O
0.926 0.828 0.619 O
0.929 0.235 0.007 O
0.931 0.581 0.895 O
0.950 0.073 0.650 O
0.951 0.491 0.338 O
0.951 0.795 0.900 O
0.966 0.185 0.508 O
0.969 0.977 0.320 O
0.977 0.969 0.820 O
0.992 0.896 0.473 O
0.995 0.555 0.606 O
```

Output
SG = Cc (9)
M_tot = 0.742 μB per atom
Calculated total energy = -5.927 eV/atom